# 1
Material: LuInAu
Method: DFT, PBE
State: optimized geometry

Values from the calculation:
Energy of formation   -0.707 eV per atom

abc: 7.7016 7.7016 3.9258
angles: 90.00 90.00 120.00
Space group P-62m (No. 189)
One atom of each set of equivalent atoms:
Lu 0.0000 0.4034 0.0000 (multiplicity 3)
In 0.0000 0.7376 0.5000 (multiplicity 3)
Au 0.0000 0.0000 0.0000 (multiplicity 1)
Au 0.3333 0.6667 0.5000 (multiplicity 2)

=====

# 2
Material: Na3In2Au
Method: DFT, PBE
State: optimized geometry

Values from the calculation:
Energy of formation   -0.237 eV per atom

abc: 13.658 13.658 13.658
angles: 90.00 90.00 90.00
Space group Fd-3m (No. 227, origin choice 2)
One atom of each set of equivalent atoms:
Na 0.077 0.375 0.375 (multiplicity 48)
In 0.041 0.041 0.709 (multiplicity 32)
Au 0.000 0.000 0.500 (multiplicity 16)

=====

# 3
Material: NaIn2Au
Method: DFT, PBE
State: optimized geometry

Values from the calculation:
Energy of formation   -0.289 eV per atom

abc: 4.599 10.474 8.049
angles: 90.00 90.00 90.00
Space group Cmcm (No. 63)
One atom of each set of equivalent atoms:
Na 0.000 0.070 0.250 (multiplicity 4)
In 0.000 0.360 0.053 (multiplicity 8)
Au 0.000 0.216 0.750 (multiplicity 4)

=====

Which of these has the lowest energy of formation? LuInAu

=====

Number 2 is which compound? Na3In2Au

=====

Which of these has the lowest energy of formation? LuInAu